(1)
Here is a relaxed structure of Mn2Cu5P4H2O18 from the Materials Project. Energies are from PBE with a Hubbard U.

Cell and atoms, written as POSCAR:
```
Mn2Cu5P4H2O18
1.0
-2.533 -2.365 4.178
7.189 -2.374 0.976
-0.692 8.373 3.179
Mn Cu P H O
2 5 4 2 18
Direct
0.452 0.711 0.020
0.548 0.289 0.980
0.000 0.000 0.000
0.272 0.105 0.503
0.728 0.895 0.497
0.240 0.470 0.382
0.760 0.530 0.618
0.998 0.288 0.803
0.002 0.712 0.197
0.340 0.844 0.736
0.660 0.156 0.264
0.334 0.443 0.654
0.666 0.557 0.346
0.393 0.381 0.555
0.607 0.619 0.445
0.179 0.585 0.220
0.821 0.415 0.780
0.468 0.949 0.629
0.532 0.051 0.371
0.118 0.805 0.079
0.882 0.195 0.921
0.277 0.407 0.878
0.723 0.593 0.122
0.469 0.249 0.196
0.531 0.751 0.804
0.993 0.868 0.357
0.007 0.132 0.643
0.279 0.005 0.875
0.721 0.995 0.125
0.097 0.692 0.638
0.903 0.308 0.362
```

Results
- symmetry = No. 2

(2)
Here is a relaxed structure of Ca2CoSi4NiO12 from the Materials Project. Energies are from PBE with a Hubbard U.

Cell and atoms, written as POSCAR:
```
Ca2CoSi4NiO12
1.0
0.060 -4.844 2.178
2.508 -3.730 -4.975
6.208 -0.318 2.512
Ca Co Si Ni O
2 1 4 1 12
Direct
0.750 0.703 0.297
0.250 0.297 0.703
0.750 0.092 0.908
0.729 0.621 0.806
0.771 0.194 0.379
0.270 0.380 0.195
0.230 0.805 0.620
0.250 0.908 0.092
0.823 0.390 0.888
0.677 0.112 0.610
0.178 0.612 0.113
0.322 0.887 0.388
0.641 0.795 0.972
0.859 0.028 0.205
0.355 0.204 0.029
0.145 0.971 0.796
0.496 0.631 0.667
0.004 0.333 0.369
0.504 0.368 0.332
0.996 0.668 0.632
```

Results
- symmetry = No. 5

(3)
Here is a relaxed structure of Mg2MnWO6 from the Materials Project. Energies are from PBE with a Hubbard U.

Cell and atoms, written as POSCAR:
```
Mg2MnWO6
1.0
-1.208 4.597 -2.255
-5.479 -1.062 0.823
1.071 3.585 6.724
Mg Mn W O
4 2 2 12
Direct
0.500 0.069 0.707
0.000 0.569 0.207
0.001 0.575 0.705
0.501 0.075 0.205
0.999 0.004 0.492
0.500 0.504 0.992
0.501 0.476 0.504
0.001 0.976 0.004
0.351 0.436 0.738
0.851 0.936 0.238
0.142 0.942 0.772
0.642 0.442 0.272
0.180 0.262 0.089
0.680 0.762 0.589
0.184 0.619 0.449
0.684 0.119 0.949
0.288 0.797 0.100
0.788 0.297 0.600
0.363 0.145 0.451
0.863 0.645 0.951
```

Results
- ΔE to the lowest computed polymorph (meV per atom) = 0

(4)
Here is a relaxed structure of Ba2NiTeO6 from the Materials Project. Energies are from PBE with a Hubbard U.

Cell and atoms, written as POSCAR:
```
Ba2NiTeO6
1.0
-3.069 5.016 0.000
-5.633 0.000 1.687
2.562 5.015 8.553
Ba Ni Te O
4 2 2 12
Direct
0.569 0.716 0.147
0.431 0.284 0.853
0.252 0.874 0.622
0.748 0.126 0.378
0.187 0.406 0.219
0.813 0.594 0.781
0.000 0.500 0.500
0.000 0.000 0.000
0.077 0.727 0.118
0.610 0.195 0.118
0.077 0.195 0.118
0.923 0.805 0.882
0.923 0.273 0.882
0.390 0.805 0.882
0.766 0.846 0.623
0.223 0.389 0.623
0.777 0.611 0.377
0.234 0.154 0.377
0.234 0.611 0.377
0.766 0.389 0.623
```

Results
- symmetry = No. 166

(5)
Here is a relaxed structure of MgCo4Te8O20 from the Materials Project. Energies are from PBE with a Hubbard U.

Cell and atoms, written as POSCAR:
```
MgCo4Te8O20
1.0
-1.571 -6.459 -3.130
4.370 -6.237 8.277
-5.743 0.184 2.530
Mg Co Te O
1 4 8 20
Direct
0.595 0.297 0.012
0.946 0.059 0.251
0.984 0.942 0.733
0.546 0.592 0.179
0.540 0.466 0.656
0.136 0.333 0.546
0.153 0.655 0.938
0.327 0.109 0.047
0.363 0.839 0.475
0.607 0.163 0.516
0.628 0.850 0.990
0.883 0.665 0.468
0.968 0.395 0.042
0.013 0.442 0.345
0.029 0.576 0.695
0.093 0.064 0.956
0.135 0.927 0.441
0.120 0.195 0.364
0.203 0.790 0.787
0.336 0.264 0.934
0.327 0.700 0.288
0.372 0.372 0.467
0.388 0.562 0.898
0.487 0.925 0.248
0.480 0.024 0.827
0.704 0.451 0.058
0.665 0.584 0.498
0.681 0.299 0.699
0.728 0.717 0.158
0.697 0.197 0.241
0.813 0.802 0.655
0.824 0.061 0.547
0.832 0.939 0.034
```

Results
- ΔE to the lowest computed polymorph (meV per atom) = 15
- symmetry = No. 1

Number 1: energy of formation -1.937 eV/atom. Number 2: energy of formation -2.950 eV/atom. Number 3: energy of formation -2.555 eV/atom. Number 4: energy of formation -2.277 eV/atom. Number 5: energy of formation -1.429 eV/atom.